InBi | meta-GGA r2SCAN | optimized geometry

abc: 4.9108 4.9108 5.2223
angles: 90.00 90.00 90.00
Fractional positions:
1 In 0.2500 0.7500 0.0000
2 In 0.7500 0.2500 0.0000
3 Bi 0.2500 0.2500 0.3600
4 Bi 0.7500 0.7500 0.6400

Computed properties:
V = 31.49 A^3/atom
ΔH_f (0 K) = -0.03 eV/atom
ρ = 8.5 g/cm³

***

FeF2 | meta-GGA r2SCAN | optimized geometry

abc: 4.6495 4.6495 3.3381
angles: 90.00 90.00 90.10
Fractional positions:
1 Fe 0.0000 0.0000 0.0000
2 Fe 0.5000 0.5000 0.5000
3 F 0.1985 0.8015 0.5000
4 F 0.3016 0.3016 0.0000
5 F 0.6984 0.6984 0.0000
6 F 0.8015 0.1985 0.5000

Computed properties:
V = 12.03 A^3/atom
ΔH_f (0 K) = -2.34 eV/atom
ρ = 4.3 g/cm³

***

Li2SiS3 | meta-GGA r2SCAN | optimized geometry

abc: 6.7220 6.7220 5.9639
angles: 90.00 90.00 60.22
Fractional positions:
1 Li 0.0094 0.3235 0.0000
2 Li 0.3235 0.0094 0.5000
3 Li 0.6765 0.9906 0.0000
4 Li 0.9906 0.6765 0.5000
5 Si 0.3348 0.6652 0.9881
6 Si 0.6652 0.3348 0.4881
7 S 0.0401 0.6577 0.9015
8 S 0.3423 0.9599 0.9015
9 S 0.3614 0.6386 0.3602
10 S 0.6386 0.3614 0.8602
11 S 0.6577 0.0401 0.4015
12 S 0.9599 0.3423 0.4015

Computed properties:
V = 19.49 A^3/atom
ΔH_f (0 K) = -1.21 eV/atom
ρ = 2.0 g/cm³

***

Ag5BiO4 | meta-GGA r2SCAN | optimized geometry

abc: 5.9051 8.8988 13.7302
angles: 90.00 114.23 90.00
Fractional positions:
1 Ag 0.0000 0.0000 0.0000
2 Ag 0.0000 0.5000 0.5000
3 Ag 0.1120 0.1413 0.6477
4 Ag 0.1120 0.3587 0.1477
5 Ag 0.1148 0.2313 0.3735
6 Ag 0.1148 0.2687 0.8735
7 Ag 0.2109 0.5082 0.7456
8 Ag 0.2109 0.9918 0.2456
9 Ag 0.3744 0.7277 0.1232
10 Ag 0.3744 0.7723 0.6232
11 Ag 0.5000 0.0000 0.5000
12 Ag 0.5000 0.5000 0.0000
13 Ag 0.6256 0.2277 0.3768
14 Ag 0.6256 0.2723 0.8768
15 Ag 0.7891 0.0082 0.7544
16 Ag 0.7891 0.4918 0.2544
17 Ag 0.8852 0.7313 0.1265
18 Ag 0.8852 0.7687 0.6265
19 Ag 0.8880 0.6413 0.8523
20 Ag 0.8880 0.8587 0.3523
21 Bi 0.4176 0.6194 0.3774
22 Bi 0.4176 0.8806 0.8774
23 Bi 0.5824 0.1194 0.1226
24 Bi 0.5824 0.3806 0.6226
25 O 0.0524 0.6339 0.3796
26 O 0.0524 0.8661 0.8796
27 O 0.1956 0.5925 0.1946
28 O 0.1956 0.9075 0.6946
29 O 0.4309 0.1365 0.9402
30 O 0.4309 0.3635 0.4402
31 O 0.4705 0.6371 0.8710
32 O 0.4705 0.8629 0.3710
33 O 0.5295 0.1371 0.6290
34 O 0.5295 0.3629 0.1290
35 O 0.5691 0.6365 0.5598
36 O 0.5691 0.8635 0.0598
37 O 0.8044 0.0925 0.3054
38 O 0.8044 0.4075 0.8054
39 O 0.9476 0.1339 0.1204
40 O 0.9476 0.3661 0.6204

Computed properties:
V = 16.45 A^3/atom
ΔH_f (0 K) = -0.47 eV/atom
ρ = 8.2 g/cm³

***

Ce2Re3Si5 | meta-GGA r2SCAN | optimized geometry

abc: 10.9913 10.9913 5.6015
angles: 90.00 90.00 90.00
Fractional positions:
1 Ce 0.0756 0.2381 0.0000
2 Ce 0.2381 0.9244 0.0000
3 Ce 0.2619 0.4244 0.5000
4 Ce 0.4244 0.7381 0.5000
5 Ce 0.5756 0.2619 0.5000
6 Ce 0.7381 0.5756 0.5000
7 Ce 0.7619 0.0756 0.0000
8 Ce 0.9244 0.7619 0.0000
9 Re 0.0000 0.5000 0.2500
10 Re 0.0000 0.5000 0.7500
11 Re 0.1249 0.8562 0.5000
12 Re 0.1438 0.1249 0.5000
13 Re 0.3562 0.6249 0.0000
14 Re 0.3751 0.3562 0.0000
15 Re 0.5000 0.0000 0.2500
16 Re 0.5000 0.0000 0.7500
17 Re 0.6249 0.6438 0.0000
18 Re 0.6438 0.3751 0.0000
19 Re 0.8562 0.8751 0.5000
20 Re 0.8751 0.1438 0.5000
21 Si 0.0000 0.0000 0.2527
22 Si 0.0000 0.0000 0.7473
23 Si 0.0228 0.3159 0.5000
24 Si 0.1729 0.6729 0.2500
25 Si 0.1729 0.6729 0.7500
26 Si 0.1841 0.4772 0.0000
27 Si 0.3159 0.9772 0.5000
28 Si 0.3271 0.1729 0.2500
29 Si 0.3271 0.1729 0.7500
30 Si 0.4772 0.8159 0.0000
31 Si 0.5000 0.5000 0.2473
32 Si 0.5000 0.5000 0.7527
33 Si 0.5228 0.1841 0.0000
34 Si 0.6729 0.8271 0.2500
35 Si 0.6729 0.8271 0.7500
36 Si 0.6841 0.0228 0.5000
37 Si 0.8159 0.5228 0.0000
38 Si 0.8271 0.3271 0.2500
39 Si 0.8271 0.3271 0.7500
40 Si 0.9772 0.6841 0.5000

Computed properties:
V = 16.92 A^3/atom
ΔH_f (0 K) = -0.63 eV/atom
ρ = 9.6 g/cm³

***

LaTl3 | meta-GGA r2SCAN | optimized geometry

abc: 4.8619 4.8619 4.8619
angles: 90.00 90.00 90.00
Fractional positions:
1 La 0.0000 0.0000 0.0000
2 Tl 0.0000 0.5000 0.5000
3 Tl 0.5000 0.0000 0.5000
4 Tl 0.5000 0.5000 0.0000

Computed properties:
V = 28.73 A^3/atom
ΔH_f (0 K) = -0.45 eV/atom
ρ = 10.9 g/cm³

***

YInAu | meta-GGA r2SCAN | optimized geometry

abc: 7.6744 7.6744 4.0310
angles: 90.00 90.00 120.00
Fractional positions:
1 Y 0.0000 0.5942 0.0000
2 Y 0.4058 0.4058 0.0000
3 Y 0.5942 0.0000 0.0000
4 In 0.0000 0.2584 0.5000
5 In 0.2584 0.0000 0.5000
6 In 0.7416 0.7416 0.5000
7 Au 0.0000 0.0000 0.0000
8 Au 0.3333 0.6667 0.5000
9 Au 0.6667 0.3333 0.5000

Computed properties:
V = 22.85 A^3/atom
ΔH_f (0 K) = -0.88 eV/atom
ρ = 9.7 g/cm³

***

Nd5In4Pt2 | meta-GGA r2SCAN | optimized geometry

abc: 8.2643 18.6332 3.7846
angles: 90.00 90.00 90.00
Fractional positions:
1 Nd 0.0000 0.0000 0.0000
2 Nd 0.1171 0.4157 0.0000
3 Nd 0.2418 0.2220 0.0000
4 Nd 0.2582 0.7220 0.0000
5 Nd 0.3829 0.9157 0.0000
6 Nd 0.5000 0.5000 0.0000
7 Nd 0.6171 0.0843 0.0000
8 Nd 0.7418 0.2780 0.0000
9 Nd 0.7582 0.7780 0.0000
10 Nd 0.8829 0.5843 0.0000
11 In 0.0694 0.8507 0.5000
12 In 0.2109 0.5705 0.5000
13 In 0.2891 0.0705 0.5000
14 In 0.4306 0.3507 0.5000
15 In 0.5694 0.6493 0.5000
16 In 0.7109 0.9295 0.5000
17 In 0.7891 0.4295 0.5000
18 In 0.9306 0.1493 0.5000
19 Pt 0.0195 0.3037 0.5000
20 Pt 0.4805 0.8037 0.5000
21 Pt 0.5195 0.1963 0.5000
22 Pt 0.9805 0.6963 0.5000

Computed properties:
V = 26.49 A^3/atom
ΔH_f (0 K) = -0.91 eV/atom
ρ = 9.0 g/cm³

***

LiNbO3 | meta-GGA r2SCAN | optimized geometry

abc: 5.1539 5.5315 17.2125
angles: 87.57 98.63 117.77
Fractional positions:
1 Li 0.6923 0.9331 0.4486
2 Li 0.6924 0.4332 0.9486
3 Li 0.1918 0.6842 0.6989
4 Li 0.4402 0.8078 0.0736
5 Li 0.4394 0.3074 0.5734
6 Li 0.9393 0.5573 0.3234
7 Li 0.1925 0.1844 0.1989
8 Li 0.9390 0.0572 0.8234
9 O 0.9363 0.4451 0.7789
10 O 0.4799 0.5419 0.6824
11 O 0.9802 0.7911 0.4322
12 O 0.4366 0.6948 0.5289
13 O 0.0548 0.0042 0.7197
14 O 0.0374 0.3198 0.4038
15 O 0.5551 0.2540 0.4696
16 O 0.9194 0.1294 0.0948
17 O 0.9934 0.1663 0.5572
18 O 0.5374 0.5700 0.1538
19 O 0.0552 0.5042 0.2197
20 O 0.5551 0.7546 0.9698
21 O 0.4196 0.8791 0.3448
22 O 0.9941 0.6667 0.0574
23 O 0.9369 0.9445 0.2788
24 O 0.4804 0.0416 0.1823
25 O 0.4930 0.9165 0.8073
26 O 0.9188 0.6292 0.5947
27 O 0.4933 0.4160 0.3071
28 O 0.9802 0.2916 0.9323
29 O 0.5371 0.0703 0.6539
30 O 0.0367 0.8198 0.9039
31 O 0.4189 0.3794 0.8448
32 O 0.4372 0.1953 0.0288
33 Nb 0.2673 0.6568 0.8780
34 Nb 0.0176 0.0320 0.0029
35 Nb 0.7669 0.9068 0.6278
36 Nb 0.5173 0.7819 0.2528
37 Nb 0.5169 0.2821 0.7529
38 Nb 0.7676 0.4069 0.1278
39 Nb 0.2672 0.1564 0.3778
40 Nb 0.0170 0.5316 0.5029

Computed properties:
V = 10.73 A^3/atom
ΔH_f (0 K) = -2.71 eV/atom
ρ = 4.6 g/cm³

***

Li2CeGa | meta-GGA r2SCAN | optimized geometry

abc: 4.7555 4.7555 4.7555
angles: 60.00 60.00 60.00
Fractional positions:
1 Li 0.2500 0.2500 0.2500
2 Li 0.7500 0.7500 0.7500
3 Ce 0.0000 0.0000 0.0000
4 Ga 0.5000 0.5000 0.5000

Computed properties:
V = 19.01 A^3/atom
ΔH_f (0 K) = -0.22 eV/atom
ρ = 4.9 g/cm³

***

NaLiGe4O9 | meta-GGA r2SCAN | optimized geometry

abc: 15.9362 4.6807 9.3405
angles: 90.00 90.00 90.00
Fractional positions:
1 Na 0.0459 0.0244 0.0000
2 Na 0.4541 0.0244 0.5000
3 Na 0.5459 0.9756 0.0000
4 Na 0.9541 0.9756 0.5000
5 Li 0.2358 0.9590 0.7854
6 Li 0.2642 0.9590 0.2854
7 Li 0.7358 0.0410 0.7854
8 Li 0.7642 0.0410 0.2854
9 Ge 0.0952 0.4921 0.3099
10 Ge 0.0980 0.5091 0.7272
11 Ge 0.1549 0.9979 0.5189
12 Ge 0.2064 0.4995 0.0202
13 Ge 0.2936 0.4995 0.5202
14 Ge 0.3451 0.9979 0.0189
15 Ge 0.4020 0.5091 0.2272
16 Ge 0.4048 0.4921 0.8099
17 Ge 0.5952 0.5079 0.3099
18 Ge 0.5980 0.4909 0.7272
19 Ge 0.6549 0.0021 0.5189
20 Ge 0.7064 0.5005 0.0202
21 Ge 0.7936 0.5005 0.5202
22 Ge 0.8451 0.0021 0.0189
23 Ge 0.9020 0.4909 0.2272
24 Ge 0.9048 0.5079 0.8099
25 O 0.0035 0.3403 0.7819
26 O 0.0707 0.7718 0.6038
27 O 0.0724 0.2225 0.4329
28 O 0.1306 0.3539 0.1414
29 O 0.1431 0.6729 0.8848
30 O 0.1632 0.2247 0.6832
31 O 0.1641 0.7644 0.3569
32 O 0.2374 0.7640 0.6079
33 O 0.2416 0.2208 0.4353
34 O 0.2584 0.2208 0.9353
35 O 0.2626 0.7640 0.1079
36 O 0.3359 0.7644 0.8569
37 O 0.3368 0.2247 0.1832
38 O 0.3569 0.6729 0.3848
39 O 0.3694 0.3539 0.6414
40 O 0.4276 0.2225 0.9329
41 O 0.4293 0.7718 0.1038
42 O 0.4965 0.3403 0.2819
43 O 0.5035 0.6597 0.7819
44 O 0.5707 0.2282 0.6038
45 O 0.5724 0.7775 0.4329
46 O 0.6306 0.6461 0.1414
47 O 0.6431 0.3271 0.8848
48 O 0.6632 0.7753 0.6832
49 O 0.6641 0.2356 0.3569
50 O 0.7374 0.2360 0.6079
51 O 0.7416 0.7792 0.4353
52 O 0.7584 0.7792 0.9353
53 O 0.7626 0.2360 0.1079
54 O 0.8359 0.2356 0.8569
55 O 0.8368 0.7753 0.1832
56 O 0.8569 0.3271 0.3848
57 O 0.8694 0.6461 0.6414
58 O 0.9276 0.7775 0.9329
59 O 0.9293 0.2282 0.1038
60 O 0.9965 0.6597 0.2819

Computed properties:
V = 11.61 A^3/atom
ΔH_f (0 K) = -1.94 eV/atom
ρ = 4.4 g/cm³

***

HfCuSn | meta-GGA r2SCAN | optimized geometry

abc: 4.4475 4.4475 6.4124
angles: 90.00 90.00 120.00
Fractional positions:
1 Hf 0.0000 0.0000 0.0000
2 Hf 0.0000 0.0000 0.5000
3 Cu 0.3333 0.6667 0.1816
4 Cu 0.6667 0.3333 0.6816
5 Sn 0.3333 0.6667 0.7554
6 Sn 0.6667 0.3333 0.2554

Computed properties:
V = 18.31 A^3/atom
ΔH_f (0 K) = -0.29 eV/atom
ρ = 10.9 g/cm³